! NdBr3 | the Materials Project database | PBE | relaxed; values from VASP
! MP2020-corrected energy	-4.7303	eV/atom
! space-group type	No. 63
&SYSTEM
  ibrav = 0, nat = 16, ntyp = 2
/
ATOMIC_SPECIES
Nd 144.24 Nd.upf
Br 79.90 Br.upf
ATOMIC_POSITIONS crystal
Nd 0.0000 0.2409 0.2500
Nd 0.0000 0.7591 0.7500
Nd 0.5000 0.2591 0.7500
Nd 0.5000 0.7409 0.2500
Br 0.0000 0.1567 0.5674
Br 0.0000 0.1567 0.9326
Br 0.0000 0.4026 0.7500
Br 0.0000 0.5974 0.2500
Br 0.0000 0.8433 0.0674
Br 0.0000 0.8433 0.4326
Br 0.5000 0.0974 0.2500
Br 0.5000 0.3433 0.0674
Br 0.5000 0.3433 0.4326
Br 0.5000 0.6567 0.5674
Br 0.5000 0.6567 0.9326
Br 0.5000 0.9026 0.7500
CELL_PARAMETERS angstrom
4.1257 0.0000 0.0000
0.0000 14.3796 0.0000
0.0000 0.0000 9.2803

! LiSnP4O12 | the Materials Project database | PBE | relaxed; values from VASP
! energy above the most stable polymorph in this dataset	42	meV/atom
! magnetization	0.027	μB/atom
! MP2020-corrected energy	-7.2906	eV/atom
! space-group type	No. 14
&SYSTEM
  ibrav = 0, nat = 72, ntyp = 4
/
ATOMIC_SPECIES
Li 6.94 Li.upf
Sn 118.71 Sn.upf
P 30.97 P.upf
O 16.00 O.upf
ATOMIC_POSITIONS crystal
Li 0.1251 0.0750 0.0700
Li 0.1251 0.4250 0.5700
Li 0.8749 0.5750 0.4300
Li 0.8749 0.9250 0.9300
Sn 0.3153 0.6586 0.8576
Sn 0.3153 0.8414 0.3576
Sn 0.6847 0.1586 0.6424
Sn 0.6847 0.3414 0.1424
P 0.0953 0.0295 0.8101
P 0.0953 0.4705 0.3101
P 0.2233 0.7302 0.0499
P 0.2233 0.7698 0.5499
P 0.3525 0.5548 0.2191
P 0.3525 0.9452 0.7191
P 0.3578 0.2308 0.4270
P 0.3578 0.2692 0.9270
P 0.6422 0.7308 0.0730
P 0.6422 0.7692 0.5730
P 0.6475 0.0548 0.2809
P 0.6475 0.4452 0.7809
P 0.7767 0.2302 0.4501
P 0.7767 0.2698 0.9501
P 0.9047 0.5295 0.6899
P 0.9047 0.9705 0.1899
O 0.0881 0.6282 0.3399
O 0.0881 0.8718 0.8400
O 0.0956 0.6130 0.7256
O 0.0956 0.8870 0.2256
O 0.0996 0.6320 0.5363
O 0.0996 0.8680 0.0363
O 0.1837 0.6270 0.9723
O 0.1837 0.8730 0.4723
O 0.1930 0.0477 0.7381
O 0.1930 0.4523 0.2381
O 0.2088 0.6444 0.1337
O 0.2088 0.8556 0.6337
O 0.2393 0.1156 0.8973
O 0.2393 0.3844 0.3973
O 0.2576 0.1041 0.3677
O 0.2576 0.3959 0.8677
O 0.4034 0.2179 0.5260
O 0.4034 0.2821 0.0260
O 0.4465 0.6564 0.2980
O 0.4465 0.8436 0.7980
O 0.4485 0.7168 0.5885
O 0.4485 0.7832 0.0885
O 0.4841 0.0451 0.6946
O 0.4841 0.4549 0.1946
O 0.5159 0.5451 0.8054
O 0.5159 0.9549 0.3054
O 0.5515 0.2168 0.9115
O 0.5515 0.2832 0.4115
O 0.5535 0.1564 0.2020
O 0.5535 0.3436 0.7020
O 0.5966 0.7179 0.9740
O 0.5966 0.7821 0.4740
O 0.7424 0.6041 0.1323
O 0.7424 0.8959 0.6323
O 0.7607 0.6156 0.6027
O 0.7607 0.8844 0.1027
O 0.7912 0.1444 0.3663
O 0.7912 0.3556 0.8663
O 0.8070 0.5477 0.7619
O 0.8070 0.9523 0.2619
O 0.8163 0.1270 0.5277
O 0.8163 0.3730 0.0277
O 0.9004 0.1320 0.9637
O 0.9004 0.3680 0.4637
O 0.9044 0.1130 0.7744
O 0.9044 0.3870 0.2744
O 0.9119 0.1282 0.1600
O 0.9119 0.3718 0.6600
CELL_PARAMETERS angstrom
7.4229 0.0000 0.0000
0.0000 8.9790 0.0000
-6.2408 0.0000 15.0520

! LaMg6Cr | the Materials Project database | PBE | relaxed; values from VASP
! magnetization	0.515	μB/atom
&SYSTEM
  ibrav = 0, nat = 16, ntyp = 3
/
ATOMIC_SPECIES
La 138.91 La.upf
Mg 24.30 Mg.upf
Cr 52.00 Cr.upf
ATOMIC_POSITIONS crystal
La 0.5000 0.5000 0.6671
La 0.5000 0.0000 0.1671
Mg 0.5000 0.7445 0.9183
Mg 0.5000 0.2555 0.9183
Mg 0.0000 0.2363 0.5825
Mg 0.0000 0.7637 0.5825
Mg 0.0000 0.5000 0.8382
Mg 0.0000 0.0000 0.8288
Mg 0.5000 0.2445 0.4183
Mg 0.5000 0.7555 0.4183
Mg 0.0000 0.7363 0.0825
Mg 0.0000 0.2637 0.0825
Mg 0.0000 0.0000 0.3382
Mg 0.0000 0.5000 0.3288
Cr 0.5000 0.0000 0.6644
Cr 0.5000 0.5000 0.1644
CELL_PARAMETERS angstrom
-0.3085 4.9743 1.5501
-3.9332 -1.7528 4.8418
9.1559 -1.5726 6.8686

! Ti3O4 | the Materials Project database | PBE | relaxed; values from VASP
! energy above the most stable polymorph in this dataset	0	meV/atom
! MP2020-corrected energy	-9.3750	eV/atom
! space-group type	No. 139
&SYSTEM
  ibrav = 0, nat = 14, ntyp = 2
/
ATOMIC_SPECIES
Ti 47.87 Ti.upf
O 16.00 O.upf
ATOMIC_POSITIONS crystal
Ti 0.0000 0.0000 0.0000
Ti 0.0000 0.5000 0.2500
Ti 0.0000 0.5000 0.7500
Ti 0.5000 0.0000 0.2500
Ti 0.5000 0.0000 0.7500
Ti 0.5000 0.5000 0.5000
O 0.0000 0.0000 0.2588
O 0.0000 0.0000 0.7412
O 0.0000 0.5000 0.0000
O 0.0000 0.5000 0.5000
O 0.5000 0.0000 0.0000
O 0.5000 0.0000 0.5000
O 0.5000 0.5000 0.2412
O 0.5000 0.5000 0.7588
CELL_PARAMETERS angstrom
4.1570 0.0000 0.0000
0.0000 4.1570 0.0000
0.0000 0.0000 8.1940

| no. | formation energy from the elements (eV/atom) | E_tot (eV per atom) |
| --- | --- | --- |
| 1 | -2.311 | -4.330 |
| 2 | -2.460 | -6.833 |
| 3 | 0.180 | -2.843 |
| 4 | -3.164 | -8.982 |